# CeZr2F11

A relaxed structure of CeZr2F11 (GGA-PBE, the Materials Project).

Summary:
* energy of formation from the pure elements: -4.123 eV/atom
* electronic total energy: -6.91 eV per atom
* symmetry: Ibam (72)
* crystal system: orthorhombic

a b c (Å): 8.543 8.543 8.543
angles (deg): 124.85 106.54 98.28
Positions (direct):
Ce: 0.250 0.250 0.000
Ce: 0.750 0.750 0.000
Zr: 0.181 0.634 0.814
Zr: 0.319 0.134 0.453
Zr: 0.681 0.866 0.547
Zr: 0.819 0.366 0.186
F: 0.000 0.500 0.500
F: 0.049 0.965 0.286
F: 0.053 0.365 0.159
F: 0.179 0.465 0.917
F: 0.206 0.894 0.841
F: 0.221 0.371 0.592
F: 0.279 0.871 0.150
F: 0.294 0.135 0.688
F: 0.321 0.238 0.286
F: 0.447 0.606 0.312
F: 0.451 0.738 0.917
F: 0.500 0.000 0.500
F: 0.549 0.262 0.083
F: 0.553 0.394 0.688
F: 0.679 0.762 0.714
F: 0.706 0.865 0.312
F: 0.721 0.129 0.850
F: 0.779 0.629 0.408
F: 0.794 0.106 0.159
F: 0.821 0.535 0.083
F: 0.947 0.635 0.841
F: 0.951 0.035 0.714